No. 1
Below is a relaxed structure of AlPO4, with properties calculated at the GGA-PBE level.

Calculated values
Total energy after the MP2020 corrections (eV/f.u.): -47.62
Space-group type: P3_121

Cell: 5.055 5.055 11.162 Å, 90.00 90.00 120.00°
Fractional positions:
Al  0.000  0.473  0.167
Al  0.473  0.000  0.833
Al  0.527  0.527  0.500
P  0.000  0.474  0.667
P  0.474  0.000  0.333
P  0.526  0.526  0.000
O  0.137  0.720  0.765
O  0.171  0.753  0.278
O  0.247  0.418  0.612
O  0.280  0.417  0.098
O  0.417  0.280  0.902
O  0.418  0.247  0.388
O  0.582  0.829  0.945
O  0.583  0.863  0.432
O  0.720  0.137  0.235
O  0.753  0.171  0.722
O  0.829  0.582  0.055
O  0.863  0.583  0.568

No. 2
Below is a relaxed structure of H48PtC32S4N6O8, with properties calculated at the GGA-PBE level.

Calculated values
Total energy after the MP2020 corrections (eV/f.u.): -595.29
Space-group type: P2_1/c

Cell: 14.135 11.159 14.373 Å, 90.00 105.84 90.00°
Fractional positions:
H  0.016  0.189  0.000
H  0.016  0.311  0.500
H  0.021  0.624  0.944
H  0.021  0.876  0.444
H  0.049  0.662  0.121
H  0.049  0.838  0.621
H  0.057  0.206  0.776
H  0.057  0.294  0.276
H  0.060  0.621  0.434
H  0.060  0.879  0.934
H  0.082  0.588  0.560
H  0.082  0.912  0.060
H  0.096  0.077  0.723
H  0.096  0.423  0.223
H  0.100  0.075  0.848
H  0.100  0.425  0.348
H  0.111  0.680  0.886
H  0.111  0.820  0.386
H  0.145  0.566  0.976
H  0.145  0.934  0.476
H  0.150  0.743  0.681
H  0.150  0.757  0.181
H  0.173  0.610  0.140
H  0.173  0.890  0.640
H  0.234  0.685  0.467
H  0.234  0.815  0.967
H  0.250  0.648  0.592
H  0.250  0.852  0.092
H  0.279  0.029  0.774
H  0.279  0.471  0.274
H  0.281  0.034  0.899
H  0.281  0.466  0.399
H  0.281  0.704  0.057
H  0.281  0.796  0.557
H  0.360  0.131  0.854
H  0.360  0.369  0.354
H  0.368  0.505  0.612
H  0.368  0.995  0.112
H  0.416  0.690  0.394
H  0.416  0.810  0.894
H  0.425  0.693  0.273
H  0.425  0.807  0.773
H  0.470  0.684  0.854
H  0.470  0.816  0.354
H  0.482  0.510  0.580
H  0.482  0.990  0.080
H  0.483  0.002  0.204
H  0.483  0.498  0.704
H  0.517  0.502  0.296
H  0.517  0.998  0.796
H  0.518  0.010  0.920
H  0.518  0.490  0.420
H  0.530  0.184  0.646
H  0.530  0.316  0.146
H  0.575  0.193  0.227
H  0.575  0.307  0.727
H  0.584  0.190  0.106
H  0.584  0.310  0.606
H  0.632  0.005  0.888
H  0.632  0.495  0.388
H  0.640  0.631  0.646
H  0.640  0.869  0.146
H  0.719  0.204  0.443
H  0.719  0.296  0.943
H  0.719  0.534  0.601
H  0.719  0.966  0.101
H  0.721  0.529  0.726
H  0.721  0.971  0.226
H  0.750  0.148  0.908
H  0.750  0.352  0.408
H  0.766  0.185  0.033
H  0.766  0.315  0.533
H  0.827  0.110  0.360
H  0.827  0.390  0.860
H  0.850  0.243  0.819
H  0.850  0.257  0.319
H  0.855  0.066  0.524
H  0.855  0.434  0.024
H  0.889  0.180  0.614
H  0.889  0.320  0.114
H  0.900  0.575  0.652
H  0.900  0.925  0.152
H  0.904  0.577  0.777
H  0.904  0.923  0.277
H  0.918  0.088  0.940
H  0.918  0.412  0.440
H  0.940  0.121  0.066
H  0.940  0.379  0.566
H  0.943  0.706  0.724
H  0.943  0.794  0.224
H  0.951  0.162  0.379
H  0.951  0.338  0.879
H  0.979  0.124  0.556
H  0.979  0.376  0.056
H  0.984  0.689  0.500
H  0.984  0.811  0.000
Pt  0.500  0.000  0.500
Pt  0.500  0.500  0.000
C  0.058  0.657  0.505
C  0.058  0.843  0.005
C  0.099  0.645  0.953
C  0.099  0.855  0.453
C  0.110  0.132  0.789
C  0.110  0.368  0.289
C  0.125  0.689  0.126
C  0.125  0.811  0.626
C  0.160  0.100  0.288
C  0.160  0.400  0.788
C  0.224  0.189  0.564
C  0.224  0.311  0.064
C  0.227  0.204  0.316
C  0.227  0.296  0.816
C  0.231  0.719  0.537
C  0.231  0.781  0.037
C  0.250  0.020  0.313
C  0.250  0.480  0.813
C  0.254  0.180  0.072
C  0.254  0.320  0.572
C  0.287  0.088  0.837
C  0.287  0.412  0.337
C  0.312  0.128  0.345
C  0.312  0.372  0.845
C  0.329  0.157  0.581
C  0.329  0.343  0.081
C  0.358  0.220  0.095
C  0.358  0.280  0.595
C  0.443  0.029  0.130
C  0.443  0.471  0.630
C  0.462  0.719  0.348
C  0.462  0.781  0.848
C  0.538  0.219  0.152
C  0.538  0.281  0.652
C  0.557  0.529  0.370
C  0.557  0.971  0.870
C  0.642  0.720  0.405
C  0.642  0.780  0.905
C  0.671  0.657  0.919
C  0.671  0.843  0.419
C  0.688  0.628  0.155
C  0.688  0.872  0.655
C  0.713  0.588  0.663
C  0.713  0.912  0.163
C  0.746  0.680  0.428
C  0.746  0.820  0.928
C  0.750  0.520  0.187
C  0.750  0.980  0.687
C  0.769  0.219  0.963
C  0.769  0.281  0.463
C  0.773  0.704  0.184
C  0.773  0.796  0.684
C  0.776  0.689  0.936
C  0.776  0.811  0.436
C  0.840  0.600  0.212
C  0.840  0.900  0.712
C  0.875  0.189  0.374
C  0.875  0.311  0.874
C  0.890  0.632  0.711
C  0.890  0.868  0.211
C  0.901  0.145  0.547
C  0.901  0.355  0.047
C  0.942  0.157  0.995
C  0.942  0.343  0.495
S  0.379  0.017  0.583
S  0.379  0.483  0.083
S  0.433  0.158  0.395
S  0.433  0.342  0.895
S  0.567  0.658  0.105
S  0.567  0.842  0.605
S  0.621  0.517  0.917
S  0.621  0.983  0.417
N  0.128  0.740  0.030
N  0.128  0.760  0.530
N  0.210  0.178  0.815
N  0.210  0.322  0.315
N  0.442  0.160  0.122
N  0.442  0.340  0.622
N  0.558  0.660  0.378
N  0.558  0.840  0.878
N  0.790  0.678  0.685
N  0.790  0.822  0.185
N  0.872  0.240  0.470
N  0.872  0.260  0.970
O  0.070  0.088  0.258
O  0.070  0.412  0.758
O  0.146  0.133  0.550
O  0.146  0.367  0.050
O  0.211  0.082  0.059
O  0.211  0.418  0.559
O  0.265  0.589  0.806
O  0.265  0.911  0.306
O  0.735  0.089  0.694
O  0.735  0.411  0.194
O  0.789  0.582  0.441
O  0.789  0.918  0.941
O  0.854  0.633  0.950
O  0.854  0.867  0.450
O  0.930  0.588  0.242
O  0.930  0.912  0.742

No. 3
Below is a relaxed structure of Si2AuN3, with properties calculated at the GGA-PBE level.

Calculated values
Total energy after the MP2020 corrections (eV/f.u.): -43.21
Space-group type: Cmc2_1

Cell: 5.566 5.566 5.048 Å, 90.00 90.00 60.65°
Fractional positions:
Si  0.033  0.321  0.000
Si  0.321  0.033  0.500
Si  0.679  0.967  0.000
Si  0.967  0.679  0.500
Au  0.431  0.569  0.107
Au  0.569  0.431  0.607
N  0.092  0.349  0.343
N  0.197  0.803  0.440
N  0.349  0.092  0.843
N  0.651  0.908  0.343
N  0.803  0.197  0.940
N  0.908  0.651  0.843

No. 4
Below is a relaxed structure of MgZn2, with properties calculated at the GGA-PBE level.

Calculated values
Calculated total energy (eV per atom): -1.359
Space-group type: P-6m2

Cell: 2.948 2.948 13.851 Å, 90.00 90.00 120.00°
Fractional positions:
Mg  0.000  0.000  0.171
Mg  0.000  0.000  0.829
Zn  0.000  0.000  0.500
Zn  0.667  0.333  0.000
Zn  0.667  0.333  0.344
Zn  0.667  0.333  0.656

No. 5
Below is a relaxed structure of Cu3Pd, with properties calculated at the GGA-PBE level.

Calculated values
Calculated total energy (eV per atom): -4.474
Space-group type: Pm-3m

Cell: 3.715 3.715 3.715 Å, 90.00 90.00 90.00°
Fractional positions:
Cu  0.000  0.000  0.500
Cu  0.000  0.500  0.000
Cu  0.500  0.000  0.000
Pd  0.500  0.500  0.500

No. 6
Below is a relaxed structure of Cs2LiBiF6, with properties calculated at the GGA-PBE level.

Calculated values
Total energy after the MP2020 corrections (eV/f.u.): -48.33
Space-group type: Fm-3m

Cell: 6.424 6.424 6.424 Å, 60.00 60.00 60.00°
Fractional positions:
Cs  0.250  0.250  0.250
Cs  0.750  0.750  0.750
Li  0.000  0.000  0.000
Bi  0.500  0.500  0.500
F  0.247  0.247  0.753
F  0.247  0.753  0.247
F  0.247  0.753  0.753
F  0.753  0.247  0.247
F  0.753  0.247  0.753
F  0.753  0.753  0.247

No. 7
Below is a relaxed structure of La2VCo16, with properties calculated at the GGA-PBE level.

Calculated values
Calculated total energy (eV per atom): -7.035
Space-group type: R3m

Cell: 6.336 6.336 6.336 Å, 83.03 83.03 83.03°
Fractional positions:
La  0.000  0.000  0.000
La  0.306  0.306  0.306
V  0.743  0.743  0.743
Co  0.151  0.651  0.651
Co  0.310  0.310  0.796
Co  0.310  0.796  0.310
Co  0.363  0.649  0.937
Co  0.363  0.937  0.649
Co  0.504  0.992  0.992
Co  0.556  0.556  0.556
Co  0.649  0.363  0.937
Co  0.649  0.937  0.363
Co  0.651  0.151  0.651
Co  0.651  0.651  0.151
Co  0.796  0.310  0.310
Co  0.937  0.363  0.649
Co  0.937  0.649  0.363
Co  0.992  0.504  0.992
Co  0.992  0.992  0.504

No. 8
Below is a relaxed structure of Nb4Ni2C, with properties calculated at the GGA-PBE level.

Calculated values
Calculated total energy (eV per atom): -9.083
Space-group type: Fd-3m

Cell: 8.293 8.293 8.293 Å, 60.00 60.00 60.00°
Fractional positions:
Nb  0.000  0.000  0.000
Nb  0.000  0.000  0.500
Nb  0.000  0.500  0.000
Nb  0.191  0.191  0.559
Nb  0.191  0.559  0.191
Nb  0.191  0.559  0.559
Nb  0.441  0.441  0.809
Nb  0.441  0.809  0.441
Nb  0.441  0.809  0.809
Nb  0.500  0.000  0.000
Nb  0.559  0.191  0.191
Nb  0.559  0.191  0.559
Nb  0.559  0.559  0.191
Nb  0.809  0.441  0.441
Nb  0.809  0.441  0.809
Nb  0.809  0.809  0.441
Ni  0.115  0.795  0.795
Ni  0.205  0.205  0.205
Ni  0.205  0.205  0.885
Ni  0.205  0.885  0.205
Ni  0.795  0.115  0.795
Ni  0.795  0.795  0.115
Ni  0.795  0.795  0.795
Ni  0.885  0.205  0.205
C  0.000  0.500  0.500
C  0.500  0.000  0.500
C  0.500  0.500  0.000
C  0.500  0.500  0.500

No. 9
Below is a relaxed structure of Tb3Th, with properties calculated at the GGA-PBE level.

Calculated values
Calculated total energy (eV per atom): -5.270
Space-group type: I4/mmm

Cell: 5.076 5.076 10.010 Å, 90.00 90.00 90.00°
Fractional positions:
Tb  0.000  0.000  0.000
Tb  0.000  0.500  0.250
Tb  0.000  0.500  0.750
Tb  0.500  0.000  0.250
Tb  0.500  0.000  0.750
Tb  0.500  0.500  0.500
Th  0.000  0.000  0.500
Th  0.500  0.500  0.000

No. 10
Below is a relaxed structure of Pr3Os, with properties calculated at the GGA-PBE level.

Calculated values
Calculated total energy (eV per atom): -6.468
Space-group type: Pnma

Cell: 7.535 9.762 6.593 Å, 90.00 90.00 90.00°
Fractional positions:
Pr  0.041  0.250  0.142
Pr  0.174  0.067  0.674
Pr  0.174  0.433  0.674
Pr  0.326  0.567  0.174
Pr  0.326  0.933  0.174
Pr  0.459  0.750  0.642
Pr  0.541  0.250  0.358
Pr  0.674  0.067  0.826
Pr  0.674  0.433  0.826
Pr  0.826  0.567  0.326
Pr  0.826  0.933  0.326
Pr  0.959  0.750  0.858
Os  0.114  0.750  0.449
Os  0.386  0.250  0.949
Os  0.614  0.750  0.051
Os  0.886  0.250  0.551

No. 11
Below is a relaxed structure of TbRh2, with properties calculated at the GGA-PBE level.

Calculated values
Calculated total energy (eV per atom): -7.191
Space-group type: Fd-3m

Cell: 5.356 5.356 5.356 Å, 60.00 60.00 60.00°
Fractional positions:
Tb  0.125  0.125  0.125
Tb  0.875  0.875  0.875
Rh  0.000  0.500  0.500
Rh  0.500  0.000  0.500
Rh  0.500  0.500  0.000
Rh  0.500  0.500  0.500

No. 12
Below is a relaxed structure of Mo6PbSe4S4, with properties calculated at the GGA-PBE level.

Calculated values
Total energy after the MP2020 corrections (eV/f.u.): -109.72
Space-group type: P1

Cell: 6.711 6.769 6.817 Å, 88.28 88.67 88.97°
Fractional positions:
Mo  0.000  0.000  0.000
Mo  0.013  0.194  0.339
Mo  0.204  0.337  0.010
Mo  0.666  0.179  0.138
Mo  0.857  0.323  0.811
Mo  0.871  0.522  0.149
Pb  0.433  0.768  0.565
Se  0.060  0.643  0.819
Se  0.197  0.516  0.327
Se  0.672  0.000  0.822
Se  0.679  0.381  0.454
S  0.169  0.146  0.706
S  0.306  0.027  0.197
S  0.564  0.490  0.955
S  0.817  0.889  0.308